1.
Below is an optimized crystal structure of K2MnF4, with properties calculated at the GGA+U level.

The MP2020-corrected energy is -5.72 eV/atom.

```
K2MnF4
1.0
-3.427 1.976 6.219
-6.697 2.814 1.246
3.945 -5.172 -3.466
K Mn F
2 1 4
direct
0.354 0.354 0.000
0.646 0.646 0.000
0.000 0.000 0.000
0.159 0.159 0.000
0.841 0.841 0.000
0.500 0.000 0.500
0.000 0.500 0.500
```

=====

2.
Below is an optimized crystal structure of Ba2YMn3O7, with properties calculated at the GGA+U level.

The total moment comes out at 1.037 μB/atom. The value obtained for the excess energy over the best structure of this formula in the dataset is 0.001 eV per atom. The MP2020-corrected energy is -8.21 eV/atom.

```
Ba2YMn3O7
1.0
3.931 4.086 0.000
-3.931 4.086 0.000
0.000 0.000 11.866
Ba Y Mn O
4 2 6 14
direct
0.500 0.000 0.819
0.000 0.500 0.819
0.500 0.000 0.181
0.000 0.500 0.181
0.500 0.000 0.500
0.000 0.500 0.500
0.000 0.000 0.000
0.500 0.500 0.000
0.000 0.000 0.655
0.500 0.500 0.653
0.500 0.500 0.347
0.000 0.000 0.345
0.766 0.766 0.000
0.234 0.234 0.000
0.250 0.750 0.619
0.750 0.250 0.619
0.750 0.250 0.381
0.250 0.750 0.381
0.250 0.250 0.620
0.750 0.750 0.620
0.750 0.750 0.380
0.250 0.250 0.380
0.000 0.000 0.836
0.500 0.500 0.830
0.500 0.500 0.170
0.000 0.000 0.164
```

=====

3.
Below is an optimized crystal structure of MnP2O7, with properties calculated at the GGA+U level.

The value obtained for the excess energy over the best structure of this formula in the dataset is 0.006 eV per atom. The MP2020-corrected energy is -7.84 eV/atom.

```
MnP2O7
1.0
4.897 -0.001 -0.001
-2.449 -4.243 12.421
0.002 -8.482 0.002
Mn P O
4 8 28
direct
0.505 0.011 0.495
0.255 0.511 0.745
0.005 0.011 0.995
0.755 0.511 0.245
0.816 0.633 0.850
0.316 0.633 0.350
0.944 0.888 0.723
0.444 0.888 0.223
0.067 0.133 0.267
0.567 0.133 0.767
0.194 0.388 0.139
0.694 0.388 0.639
0.879 0.761 0.787
0.379 0.761 0.287
0.131 0.261 0.203
0.631 0.261 0.703
0.660 0.920 0.682
0.160 0.920 0.182
0.501 0.601 0.841
0.001 0.601 0.341
0.913 0.601 0.028
0.413 0.601 0.528
0.072 0.920 0.869
0.572 0.920 0.369
0.147 0.920 0.569
0.647 0.920 0.069
0.864 0.101 0.420
0.364 0.101 0.920
0.987 0.601 0.729
0.487 0.601 0.229
0.023 0.420 0.261
0.523 0.420 0.761
0.098 0.420 0.961
0.598 0.420 0.461
0.938 0.101 0.121
0.438 0.101 0.621
0.350 0.101 0.308
0.850 0.101 0.808
0.510 0.420 0.148
0.010 0.420 0.648
```

=====

no.,formation energy from the elements (eV per atom)
1,-3.00
2,-2.64
3,-2.38